Compound: K2Ge2Se5
Source: the Materials Project database
Functional: GGA-PBE
Structure: optimized geometry

Properties
ΔH_f (0 K) (meV/atom): -954.2
Total magnetization (μB per formula unit): 0.00

Cell lengths 10.2501, 10.0338, 23.9885 Å; angles 90.00, 93.34, 90.00 degrees
Space group P2_1/c (No. 14)
Inequivalent atoms, fractional coordinates:
K 0.0671 0.0020 0.3952 x4
K 0.1798 0.1463 0.2392 x4
K 0.1829 0.1205 0.0030 x4
K 0.3408 0.6196 0.3433 x4
Ge 0.2262 0.7424 0.1928 x4
Ge 0.2398 0.7284 0.0318 x4
Ge 0.3394 0.0844 0.6208 x4
Ge 0.4463 0.2282 0.3756 x4
Se 0.1130 0.6836 0.7672 x4
Se 0.1185 0.6797 0.6064 x4
Se 0.1303 0.6944 0.4511 x4
Se 0.2155 0.5011 0.1964 x4
Se 0.2278 0.0123 0.5335 x4
Se 0.2305 0.2037 0.8672 x4
Se 0.3367 0.1872 0.1246 x4
Se 0.4384 0.5108 0.8722 x4
Se 0.4490 0.6824 0.7042 x4
Se 0.4603 0.6904 0.5365 x4

---

Compound: K14ZnGe16
Source: the Materials Project database
Functional: GGA-PBE
Structure: optimized geometry

Properties
ΔH_f (0 K) (meV/atom): -198.7
Total magnetization (μB per formula unit): 0.00

Cell lengths 20.5033, 7.1195, 14.2953 Å; angles 90.00, 90.00, 90.00 degrees
Space group Pmn2_1 (No. 31)
Inequivalent atoms, fractional coordinates:
K 0.0000 0.0462 0.1078 x2
K 0.0000 0.9123 0.8236 x2
K 0.0906 0.9581 0.5000 x4
K 0.1164 0.5152 0.9748 x4
K 0.1452 0.9294 0.2408 x4
K 0.1550 0.1929 0.7441 x4
K 0.1567 0.4522 0.4209 x4
K 0.2498 0.3522 0.1515 x4
Zn 0.0000 0.4697 0.4952 x2
Ge 0.0000 0.2432 0.6392 x2
Ge 0.0000 0.2705 0.3356 x2
Ge 0.0000 0.4379 0.7859 x2
Ge 0.0000 0.6592 0.3352 x2
Ge 0.0641 0.4654 0.2137 x4
Ge 0.0654 0.5706 0.6482 x4
Ge 0.1397 0.0154 0.9810 x4
Ge 0.2168 0.8312 0.8705 x4
Ge 0.2438 0.8544 0.0469 x4
Ge 0.2471 0.8490 0.4392 x4

---

Compound: LaGe5
Source: the Materials Project database
Functional: GGA-PBE
Structure: optimized geometry

Properties
ΔH_f (0 K) (meV/atom): -298.4

Cell lengths 4.0522, 6.3423, 10.0556 Å; angles 90.00, 90.00, 90.00 degrees
Space group Immm (No. 71)
Inequivalent atoms, fractional coordinates:
La 0.0000 0.0000 0.0000 x2
Ge 0.0000 0.2023 0.3279 x8
Ge 0.0000 0.5000 0.0000 x2

---

Number 1: total DFT energy (no corrections) -3.908 eV per atom. Number 2: total DFT energy (no corrections) -3.127 eV per atom. Number 3: total DFT energy (no corrections) -4.974 eV per atom.